The following is a PBE with a Hubbard U calculation of a relaxed LiMn10O20 crystal, from Materials Project.

```
62
Lattice="-1.2054 5.7568 8.2672 -4.5016 0.1821 -9.0908 -3.6507 -8.7893 3.5160" Properties=species:S:1:pos:R:3 pbc="T T T"
Li -5.5029 -2.8189 -2.9933
Li 0.0000 0.0000 0.0000
Mn -3.9920 1.4091 6.7334
Mn -4.0828 -4.4505 6.6406
Mn -4.0438 -1.5021 6.6824
Mn -7.4303 -2.8346 -0.1504
Mn -4.5470 -2.8772 0.3195
Mn -3.8424 0.1094 -3.7414
Mn -2.2539 -0.0302 4.8928
Mn -5.8120 -2.9741 8.4704
Mn -6.2432 1.5176 2.1662
Mn -6.3152 -4.3492 2.1076
Mn -2.7515 -1.4094 -1.4967
Mn -2.7163 1.5288 -1.4595
Mn -6.2762 -1.4008 2.1494
Mn -5.1295 -0.0028 4.4343
Mn -1.6605 -2.9283 0.7481
Mn -5.2295 -5.8485 4.3556
Mn -4.4545 2.9681 0.3811
Mn -6.8276 -5.7130 -4.2841
Mn -5.0023 -1.3184 -6.0421
Mn -4.9667 1.6024 -5.9831
O -3.6987 1.2671 4.8070
O -2.7252 -0.0641 6.7837
O -5.2678 -0.0222 6.3830
O -4.0946 -2.8717 -1.6075
O -5.3432 -2.9566 6.5876
O -7.2826 -2.8115 -2.1334
O -3.0947 -4.1846 0.3874
O -4.3738 -4.2765 8.5637
O -4.3410 -1.7110 8.5975
O -3.0575 -1.6187 0.4217
O -5.2655 1.4080 -4.0757
O -5.9852 -1.5749 0.2263
O -6.0589 -7.4236 0.1353
O -6.0180 -4.1403 0.1924
O -3.6509 4.5566 4.8523
O -5.0158 -2.8947 2.2023
O -1.4083 0.0528 -1.3859
O -1.7665 -2.9468 2.6979
O -3.9761 0.0816 -1.8032
O -7.5781 -2.8578 1.8325
O -5.0121 0.0324 2.4855
O -2.7322 2.8563 7.0771
O -3.9832 3.0020 -1.5098
O -5.0912 -5.8291 2.4069
O -7.5478 0.0665 2.0907
O -6.6314 -4.5445 4.0208
O -3.0096 1.6708 0.4669
O -5.3299 -4.4116 -4.1510
O -6.5762 -1.2555 4.0636
O -5.9055 4.3008 0.2645
O -3.8237 -7.1966 4.6737
O -5.9445 1.7120 0.2588
O -3.7828 -4.5958 4.7263
O -3.7276 -1.3068 4.7691
O -4.9385 2.9537 2.2693
O -1.6962 2.9055 2.7884
O -7.3129 -5.7357 -2.3916
O -3.7364 0.1279 -5.6912
O -1.7698 -0.0158 3.0047
O -5.3045 -1.1808 -4.0814
```

Results
Its formation energy is -1830 meV per atom. As for the final energy: -7.06 eV/atom.

***

The following is a PBE with a Hubbard U calculation of a relaxed MgV3CoSn2P6O24 crystal, from Materials Project.

```
37
Lattice="-1.2608 3.0437 9.1630 7.0829 0.8611 4.6256 2.9372 7.7395 1.7711" Properties=species:S:1:pos:R:3 pbc="T T T"
Mg 3.6059 5.9188 9.0499
V 6.6151 5.7690 4.3950
V 7.8873 8.6653 9.6475
V 2.0704 5.9258 11.2737
Co 0.9252 2.8984 5.7834
Sn -0.8376 3.0312 8.5611
Sn 4.9651 5.7497 6.8098
P 2.9456 5.1169 4.4696
P 7.1885 3.5066 7.2655
P 6.2557 8.6772 6.5729
P 2.4566 2.9693 9.1298
P 1.4676 8.1363 8.4018
P 5.7056 6.5465 11.2349
O 1.4834 2.3412 2.0051
O 3.8729 1.8122 3.6693
O 3.0540 4.5616 3.0279
O 2.1325 6.3940 4.4734
O 2.5692 4.1214 5.5672
O 4.4943 5.5289 4.8127
O 6.3315 2.2590 7.2605
O 6.5321 4.5549 6.1934
O 3.7807 2.5210 8.5538
O 6.2279 7.1606 5.9314
O 1.3084 2.8756 8.0895
O 1.4458 7.6080 6.9845
O 7.2078 4.2642 8.5915
O 7.2022 8.6454 7.7538
O 2.5658 4.4128 9.6948
O 4.7973 8.9238 6.9765
O 2.1061 7.0861 9.3539
O 2.2190 9.4926 8.5208
O 4.2328 6.2094 10.8545
O 6.3185 7.3989 10.1420
O 6.5223 5.2539 11.4819
O 5.5914 7.2305 12.6515
O 4.8715 9.8664 12.1399
O 7.1351 9.2896 13.6662
```

Results
Its formation energy is -2380 meV per atom. The calculation puts the energy relative to the lowest polymorph listed for this composition at 155 meV/atom. As for the final energy: -7.03 eV/atom.

***

The following is a PBE with a Hubbard U calculation of a relaxed Li9Mn2Co5O16 crystal, from Materials Project.

```
32
Lattice="5.9099 0.0000 0.0000 -0.3552 5.9178 0.0000 -0.1258 -0.1271 8.0836" Properties=species:S:1:pos:R:3 pbc="T T T"
Li 2.9550 0.0000 0.0000
Li 1.0863 4.2892 6.1327
Li 4.1740 4.3635 1.9790
Li 2.7774 2.9589 0.0000
Li -0.2405 2.8954 4.0418
Li 4.3426 1.5015 1.9509
Li 1.2549 1.4272 6.1046
Li -0.0629 -0.0636 4.0418
Li -0.1776 2.9589 0.0000
Mn 0.0000 0.0000 0.0000
Mn 2.7145 2.8954 4.0418
Co 4.1225 4.2855 6.0837
Co 1.3064 1.5052 1.9999
Co 4.2660 1.3990 6.0752
Co 2.8920 -0.0636 4.0418
Co 1.1629 4.3917 2.0084
O 1.3528 1.4052 0.1111
O 5.4566 5.6961 6.1448
O 2.4553 5.8046 2.1620
O 1.0713 4.5832 0.1138
O 4.0458 4.3039 4.1326
O 2.7266 2.8360 2.1075
O 5.5309 2.7579 6.0553
O 4.0877 1.4995 4.1077
O 4.0761 4.3855 7.9725
O 2.7023 2.9547 5.9760
O -0.1020 3.0328 2.0283
O 4.3576 1.2075 7.9698
O 1.3831 1.4868 3.9510
O -0.0277 0.0946 1.9388
O 2.9736 -0.0139 5.9216
O 1.3412 4.2912 3.9759
```

Results
Its formation energy is -1833 meV per atom. The calculation puts the energy relative to the lowest polymorph listed for this composition at 31 meV/atom. As for the final energy: -5.82 eV/atom.

***

The following is a PBE with a Hubbard U calculation of a relaxed Li3Fe8B8O24 crystal, from Materials Project.

```
43
Lattice="-0.2417 -1.2197 -5.0781 5.6557 -7.0419 1.5244 -10.6111 -2.0094 3.6095" Properties=species:S:1:pos:R:3 pbc="T T T"
Li -1.1029 -8.8448 0.4429
Li -4.7157 -6.9914 3.6270
Li -3.7894 -1.1119 -0.3898
Fe -3.0496 -6.5658 -0.0310
Fe -1.0093 -1.2427 -1.4539
Fe 0.6048 -7.6709 -1.6385
Fe -6.8563 -4.8583 3.2439
Fe 1.6882 -5.3135 -3.2116
Fe -5.7186 -2.5242 1.6944
Fe -2.0434 -3.6940 0.1015
Fe -4.0791 -9.0670 1.5007
B -4.9746 -4.1837 -0.6207
B 0.8628 -3.4925 -0.9500
B -3.0705 -3.0497 -2.7578
B -8.6882 -2.5730 2.7572
B -2.0819 -7.2717 2.8230
B 3.5554 -7.6483 -2.6855
B -0.1415 -6.0107 0.6845
B -6.0176 -6.7863 1.0011
O 3.7050 -7.0592 1.1735
O -0.2376 -2.7364 -0.4928
O 1.9172 -3.7057 -0.0595
O 0.3729 -7.2216 0.2891
O -1.2393 -5.4620 0.0258
O -2.6792 -2.4897 -1.4881
O -5.5044 -4.8979 -1.7035
O 0.8879 -3.9700 -2.1991
O 2.5892 -6.7800 -2.2444
O -0.9344 -7.6903 3.4678
O -2.9370 -6.3607 3.3509
O 4.6592 -7.9217 -1.8474
O -9.8125 -2.1928 1.9567
O -2.3671 -4.0726 -3.2998
O -4.1583 -2.4973 -3.4020
O -7.7502 -3.4335 2.2425
O -5.9861 -6.3148 2.2821
O 0.3810 -5.3453 1.7777
O -2.4281 -7.8604 1.5666
O -3.8077 -4.6521 -0.0158
O -5.5613 -3.0245 -0.2101
O -7.0394 -6.4660 0.1136
O -4.9996 -7.6279 0.5097
O -8.8226 -3.2559 -1.0814
```

Results
Its formation energy is -2247 meV per atom. The calculation puts the energy relative to the lowest polymorph listed for this composition at 8 meV/atom. As for the final energy: -7.16 eV/atom.